[1]
VASP calculation (r2SCAN) on crystalline ZrF4 at its relaxed geometry.

Properties
The value obtained for the magnetization is 0.0000 μB/atom. The total DFT energy (no corrections) comes out at -55.394 eV/f.u.

The structure in CIF format:
```
data_ZrF4
_chemical_formula_sum 'Zr4 F16'
_symmetry_space_group_name_H-M 'P 1 21/c 1'
_symmetry_Int_Tables_number 14
_symmetry_space_group_name_Hall '-P 2ybc'
_cell_length_a 5.581
_cell_length_b 5.605
_cell_length_c 7.973
_cell_angle_alpha 90.00
_cell_angle_beta 106.06
_cell_angle_gamma 90.00
loop_
_atom_site_label
_atom_site_type_symbol
_atom_site_fract_x
_atom_site_fract_y
_atom_site_fract_z
Zr1 Zr 0.212 0.167 0.170
F1 F 0.004 0.040 0.708
F2 F 0.142 0.658 0.522
F3 F 0.314 0.241 0.452
F4 F 0.481 0.042 0.734
```

=====

[2]
VASP calculation (r2SCAN) on crystalline ErPaO4 at its relaxed geometry.

Properties
The value obtained for the magnetization is 0.0000 μB/atom. The total DFT energy (no corrections) comes out at -159.157 eV/f.u.

The structure in CIF format:
```
data_ErPaO4
_chemical_formula_sum 'Er1 Pa1 O4'
_symmetry_space_group_name_H-M 'P 4/m m m'
_symmetry_Int_Tables_number 123
_symmetry_space_group_name_Hall '-P 4 2'
_cell_length_a 3.773
_cell_length_b 3.773
_cell_length_c 5.319
_cell_angle_alpha 90.00
_cell_angle_beta 90.00
_cell_angle_gamma 90.00
loop_
_atom_site_label
_atom_site_type_symbol
_atom_site_fract_x
_atom_site_fract_y
_atom_site_fract_z
Er1 Er 0.000 0.000 0.000
Pa1 Pa 0.500 0.500 0.500
O1 O 0.000 0.500 0.257
```

=====

[3]
VASP calculation (r2SCAN) on crystalline YbWO3 at its relaxed geometry.

Properties
The value obtained for the magnetization is 0.0004 μB/atom. The total DFT energy (no corrections) comes out at -115.839 eV/f.u.

The structure in CIF format:
```
data_YbWO3
_chemical_formula_sum 'Yb1 W1 O3'
_symmetry_space_group_name_H-M 'P m -3 m'
_symmetry_Int_Tables_number 221
_symmetry_space_group_name_Hall '-P 4 2 3'
_cell_length_a 3.944
_cell_length_b 3.944
_cell_length_c 3.944
_cell_angle_alpha 90.00
_cell_angle_beta 90.00
_cell_angle_gamma 90.00
loop_
_atom_site_label
_atom_site_type_symbol
_atom_site_fract_x
_atom_site_fract_y
_atom_site_fract_z
Yb1 Yb 0.000 0.000 0.000
W1 W 0.500 0.500 0.500
O1 O 0.000 0.500 0.500
```

=====

[4]
VASP calculation (r2SCAN) on crystalline CaTe at its relaxed geometry.

Properties
The value obtained for the magnetization is 0.0000 μB/atom. The total DFT energy (no corrections) comes out at -36.291 eV/f.u.

The structure in CIF format:
```
data_CaTe
_chemical_formula_sum 'Ca4 Te4'
_symmetry_space_group_name_H-M 'F m -3 m'
_symmetry_Int_Tables_number 225
_symmetry_space_group_name_Hall '-F 4 2 3'
_cell_length_a 6.392
_cell_length_b 6.392
_cell_length_c 6.392
_cell_angle_alpha 90.00
_cell_angle_beta 90.00
_cell_angle_gamma 90.00
loop_
_atom_site_label
_atom_site_type_symbol
_atom_site_fract_x
_atom_site_fract_y
_atom_site_fract_z
Ca1 Ca 0.000 0.000 0.000
Te1 Te 0.000 0.000 0.500
```

=====

[5]
VASP calculation (r2SCAN) on crystalline EuF3 at its relaxed geometry.

Properties
The value obtained for the magnetization is 1.5000 μB/atom. The total DFT energy (no corrections) comes out at -63.329 eV/f.u.

The structure in CIF format:
```
data_EuF3
_chemical_formula_sum 'Eu4 F12'
_symmetry_space_group_name_H-M 'P n m a'
_symmetry_Int_Tables_number 62
_symmetry_space_group_name_Hall '-P 2ac 2n'
_cell_length_a 6.718
_cell_length_b 6.978
_cell_length_c 4.320
_cell_angle_alpha 90.00
_cell_angle_beta 90.00
_cell_angle_gamma 90.00
loop_
_atom_site_label
_atom_site_type_symbol
_atom_site_fract_x
_atom_site_fract_y
_atom_site_fract_z
Eu1 Eu 0.139 0.250 0.052
F1 F 0.015 0.750 0.436
F2 F 0.165 0.567 0.911
```

=====

[6]
VASP calculation (r2SCAN) on crystalline Tc3P at its relaxed geometry.

Properties
The value obtained for the magnetization is 0.0000 μB/atom. The total DFT energy (no corrections) comes out at -88.392 eV/f.u.

The structure in CIF format:
```
data_Tc3P
_chemical_formula_sum 'Tc24 P8'
_symmetry_space_group_name_H-M 'I -4'
_symmetry_Int_Tables_number 82
_symmetry_space_group_name_Hall 'I -4'
_cell_length_a 9.482
_cell_length_b 9.482
_cell_length_c 4.832
_cell_angle_alpha 90.00
_cell_angle_beta 90.00
_cell_angle_gamma 90.00
loop_
_atom_site_label
_atom_site_type_symbol
_atom_site_fract_x
_atom_site_fract_y
_atom_site_fract_z
Tc1 Tc 0.002 0.349 0.004
Tc2 Tc 0.098 0.099 0.808
Tc3 Tc 0.202 0.793 0.704
P1 P 0.003 0.291 0.500
```

=====

[7]
VASP calculation (r2SCAN) on crystalline KF3 at its relaxed geometry.

Properties
The value obtained for the magnetization is 0.5000 μB/atom. The total DFT energy (no corrections) comes out at -21.229 eV/f.u.

The structure in CIF format:
```
data_KF3
_chemical_formula_sum 'K8 F24'
_symmetry_space_group_name_H-M 'P 1 21 1'
_symmetry_Int_Tables_number 4
_symmetry_space_group_name_Hall 'P 2yb'
_cell_length_a 7.371
_cell_length_b 7.261
_cell_length_c 9.452
_cell_angle_alpha 90.00
_cell_angle_beta 90.18
_cell_angle_gamma 90.00
loop_
_atom_site_label
_atom_site_type_symbol
_atom_site_fract_x
_atom_site_fract_y
_atom_site_fract_z
K1 K 0.048 0.000 0.129
K2 K 0.076 0.965 0.608
K3 K 0.424 0.369 0.107
K4 K 0.452 0.333 0.629
F1 F 0.040 0.135 0.864
F2 F 0.045 0.382 0.131
F3 F 0.087 0.365 0.632
F4 F 0.192 0.608 0.652
F5 F 0.197 0.183 0.370
F6 F 0.215 0.674 0.453
F7 F 0.285 0.660 0.952
F8 F 0.303 0.150 0.869
F9 F 0.308 0.725 0.152
F10 F 0.413 0.968 0.132
F11 F 0.456 0.951 0.631
F12 F 0.460 0.198 0.362
```

=====

[8]
VASP calculation (r2SCAN) on crystalline K3Sb at its relaxed geometry.

Properties
The value obtained for the magnetization is 0.0000 μB/atom. The total DFT energy (no corrections) comes out at -45.893 eV/f.u. Its relative energy among the computed polymorphs is 15 meV per atom.

The structure in CIF format:
```
data_K3Sb
_chemical_formula_sum 'K12 Sb4'
_symmetry_space_group_name_H-M 'F m -3 m'
_symmetry_Int_Tables_number 225
_symmetry_space_group_name_Hall '-F 4 2 3'
_cell_length_a 8.455
_cell_length_b 8.455
_cell_length_c 8.455
_cell_angle_alpha 90.00
_cell_angle_beta 90.00
_cell_angle_gamma 90.00
loop_
_atom_site_label
_atom_site_type_symbol
_atom_site_fract_x
_atom_site_fract_y
_atom_site_fract_z
K1 K 0.000 0.000 0.000
K2 K 0.250 0.250 0.250
Sb1 Sb 0.000 0.000 0.500
```